LiCa2CuN2: relaxed, PBE.

Computed properties:
- Energy with MP2020 corrections: -5.208 eV/atom

Cell: 5.304 5.304 6.629 Å, 90.00 90.00 90.00°
Positions (direct):
Li1 0.500 0.500 0.500
Li2 0.000 0.000 0.000
Ca1 0.000 0.500 0.250
Ca2 0.500 0.000 0.750
Ca3 0.000 0.500 0.750
Ca4 0.500 0.000 0.250
Cu1 0.500 0.500 0.000
Cu2 0.000 0.000 0.500
N1 0.248 0.752 0.500
N2 0.752 0.248 0.500
N3 0.252 0.252 0.000
N4 0.748 0.748 0.000



BaO: relaxed, PBE.

Computed properties:
- Energy with MP2020 corrections: -6.086 eV/atom

Cell: 13.958 13.952 13.636 Å, 93.76 88.73 93.28°
Positions (direct):
Ba1 0.505 0.268 0.776
Ba2 0.968 0.829 0.602
Ba3 0.886 0.185 0.078
Ba4 0.130 0.839 0.028
Ba5 0.139 0.088 0.100
Ba6 0.752 0.952 0.514
Ba7 0.748 0.607 0.453
Ba8 0.891 0.880 0.149
Ba9 0.937 0.517 0.632
Ba10 0.935 0.999 0.847
Ba11 0.717 0.662 0.148
Ba12 0.245 0.141 0.559
Ba13 0.439 0.899 0.742
Ba14 0.175 0.539 0.993
Ba15 0.773 0.269 0.578
Ba16 0.447 0.174 0.247
Ba17 0.322 0.287 0.012
Ba18 0.208 0.869 0.308
Ba19 0.083 0.353 0.161
Ba20 0.691 0.109 0.311
Ba21 0.707 0.530 0.829
Ba22 0.685 0.004 0.039
Ba23 0.541 0.883 0.228
Ba24 0.222 0.562 0.399
Ba25 0.925 0.700 0.899
Ba26 0.465 0.029 0.499
Ba27 0.198 0.052 0.797
Ba28 0.990 0.388 0.410
Ba29 0.991 0.144 0.607
Ba30 0.411 0.003 0.005
Ba31 0.344 0.705 0.144
Ba32 0.010 0.685 0.337
Ba33 0.986 0.082 0.333
Ba34 0.456 0.514 0.952
Ba35 0.549 0.761 0.974
Ba36 0.590 0.291 0.045
Ba37 0.720 0.762 0.685
Ba38 0.244 0.847 0.569
Ba39 0.241 0.278 0.345
Ba40 0.262 0.733 0.833
Ba41 0.748 0.382 0.283
Ba42 0.495 0.501 0.247
Ba43 0.775 0.274 0.854
Ba44 0.484 0.349 0.474
Ba45 0.884 0.479 0.076
Ba46 0.477 0.591 0.671
Ba47 0.056 0.288 0.845
Ba48 0.268 0.400 0.711
Ba49 0.520 0.789 0.487
Ba50 0.672 0.027 0.769
O1 0.549 0.930 0.900
O2 0.330 0.007 0.648
O3 0.364 0.878 0.435
O4 0.605 0.653 0.561
O5 0.033 0.412 0.990
O6 0.579 0.909 0.622
O7 0.061 0.996 0.686
O8 0.188 0.687 0.261
O9 0.606 0.960 0.395
O10 0.388 0.187 0.439
O11 0.788 0.595 0.978
O12 0.816 0.783 0.508
O13 0.079 0.941 0.196
O14 0.261 0.913 0.899
O15 0.339 0.655 0.964
O16 0.286 0.426 0.891
O17 0.574 0.638 0.826
O18 0.867 0.663 0.720
O19 0.363 0.736 0.661
O20 0.096 0.828 0.454
O21 0.451 0.187 0.945
O22 0.792 0.106 0.911
O23 0.560 0.056 0.168
O24 0.452 0.396 0.092
O25 0.045 0.554 0.491
O26 0.931 0.411 0.242
O27 0.774 0.325 0.069
O28 0.029 0.187 0.199
O29 0.512 0.648 0.136
O30 0.609 0.381 0.885
O31 0.099 0.182 0.456
O32 0.662 0.201 0.714
O33 0.908 0.293 0.713
O34 0.065 0.135 0.931
O35 0.817 0.439 0.506
O36 0.814 0.933 0.701
O37 0.370 0.443 0.390
O38 0.190 0.236 0.713
O39 0.814 0.057 0.186
O40 0.383 0.876 0.134
O41 0.889 0.712 0.207
O42 0.148 0.419 0.320
O43 0.436 0.395 0.660
O44 0.965 0.872 0.971
O45 0.679 0.836 0.100
O46 0.843 0.123 0.475
O47 0.673 0.538 0.289
O48 0.105 0.675 0.917
O49 0.594 0.275 0.309
O50 0.275 0.201 0.171



U2Co2Sn: relaxed, PBE.

Computed properties:
- Electronic total energy: -83.50 eV for the cell shown

Cell: 7.355 7.355 3.387 Å, 90.00 90.00 90.00°
Positions (direct):
U1 0.335 0.835 0.500
U2 0.835 0.665 0.500
U3 0.165 0.335 0.500
U4 0.665 0.165 0.500
Co1 0.365 0.135 0.000
Co2 0.865 0.365 0.000
Co3 0.135 0.635 0.000
Co4 0.635 0.865 0.000
Sn1 0.000 0.000 0.000
Sn2 0.500 0.500 0.000



Cu3B5Pt9: relaxed, PBE.

Computed properties:
- Electronic total energy: -103.91 eV for the cell shown

Cell: 9.089 9.089 2.997 Å, 90.00 90.00 120.00°
Positions (direct):
Cu1 0.459 0.000 0.000
Cu2 0.000 0.459 0.000
Cu3 0.541 0.541 0.000
B1 0.811 0.000 0.500
B2 0.000 0.811 0.500
B3 0.189 0.189 0.500
B4 0.667 0.333 0.000
B5 0.333 0.667 0.000
Pt1 0.804 0.538 0.500
Pt2 0.462 0.266 0.500
Pt3 0.734 0.196 0.500
Pt4 0.266 0.462 0.500
Pt5 0.196 0.734 0.500
Pt6 0.538 0.804 0.500
Pt7 0.177 0.000 0.000
Pt8 0.000 0.177 0.000
Pt9 0.823 0.823 0.000



MgSi2: relaxed, PBE.

Computed properties:
- Energy with MP2020 corrections: -3.852 eV/atom
- Relative energy among the computed polymorphs: 221.0 meV per atom

Cell: 5.001 5.001 11.513 Å, 74.50 74.50 45.84°
Positions (direct):
Mg1 0.500 0.500 0.500
Mg2 0.825 0.825 0.676
Mg3 0.500 0.500 0.000
Mg4 0.175 0.175 0.324
Si1 0.494 0.494 0.761
Si2 0.175 0.175 0.577
Si3 0.506 0.506 0.239
Si4 0.169 0.169 0.085
Si5 0.825 0.825 0.423
Si6 0.156 0.156 0.834
Si7 0.831 0.831 0.915
Si8 0.844 0.844 0.166



ZnBi2P2O10: relaxed, PBE.

Computed properties:
- Energy with MP2020 corrections: -6.345 eV/atom

Cell: 10.322 8.646 8.194 Å, 75.55 54.21 50.24°
Positions (direct):
Zn1 0.866 0.634 0.634
Zn2 0.616 0.384 0.384
Bi1 0.385 0.356 0.898
Bi2 0.361 0.898 0.356
Bi3 0.894 0.865 0.889
Bi4 0.352 0.889 0.865
P1 0.946 0.432 0.023
P2 0.818 0.304 0.651
P3 0.599 0.023 0.432
P4 0.227 0.651 0.304
O1 0.302 0.794 0.679
O2 0.456 0.948 0.025
O3 0.225 0.679 0.794
O4 0.571 0.025 0.948
O5 0.516 0.226 0.533
O6 0.393 0.590 0.329
O7 0.717 0.524 0.734
O8 0.779 0.965 0.207
O9 0.423 0.056 0.453
O10 0.285 0.471 0.200
O11 0.726 0.533 0.226
O12 0.043 0.200 0.471
O13 0.050 0.207 0.965
O14 0.194 0.827 0.182
O15 0.068 0.453 0.056
O16 0.797 0.182 0.827
O17 0.921 0.562 0.857
O18 0.688 0.329 0.590
O19 0.024 0.734 0.524
O20 0.660 0.857 0.562



SnSe: relaxed, PBE.

Computed properties:
- Energy with MP2020 corrections: -4.121 eV/atom

Cell: 3.046 5.744 13.133 Å, 90.00 90.00 90.00°
Positions (direct):
Sn1 0.913 0.500 0.370
Sn2 0.913 0.500 0.630
Sn3 0.087 0.000 0.870
Sn4 0.087 0.000 0.130
Se1 0.031 0.500 0.161
Se2 0.031 0.500 0.839
Se3 0.969 0.000 0.661
Se4 0.969 0.000 0.339



CaLaI5: relaxed, PBE.

Computed properties:
- Energy with MP2020 corrections: -3.866 eV/atom
- Relative energy among the computed polymorphs: 48.0 meV per atom

Cell: 8.038 8.038 19.191 Å, 90.00 90.00 147.63°
Positions (direct):
Ca1 0.510 0.490 0.250
Ca2 0.490 0.510 0.750
La1 0.000 0.000 0.000
La2 0.000 0.000 0.500
I1 0.905 0.095 0.148
I2 0.853 0.147 0.750
I3 0.905 0.095 0.352
I4 0.627 0.373 0.057
I5 0.627 0.373 0.443
I6 0.373 0.627 0.557
I7 0.373 0.627 0.943
I8 0.147 0.853 0.250
I9 0.095 0.905 0.648
I10 0.095 0.905 0.852



Calculated density (g cm⁻³)
3.18; 4.81; 12.92; 15.49; 2.70; 5.24; 5.71; 4.07